(1)
Compound: K3Na
Source: the Materials Project database
Functional: PBE
Structure: optimized geometry

Results
Formation energy from the elements (kJ per mole of atoms): 2.6
Total DFT energy (no corrections) (eV per atom): -1.1367

Cell: 6.3048 6.3048 6.3048 Å, 90.00 90.00 90.00°
Closest atoms and distances in Å follow each position.
Space group Pm-3m (No. 221)
One atom of each set of equivalent atoms:
K1 0.0000 0.0000 0.5000  4 Na 4.46, 8 K 4.46
Na1 0.5000 0.5000 0.5000  12 K 4.46

(2)
Compound: RuPb4N4
Source: the Materials Project database
Functional: PBE
Structure: optimized geometry

Results
Formation energy from the elements (kJ per mole of atoms): 37.4
Total DFT energy (no corrections) (eV per atom): -5.8373

Cell: 6.3628 6.4806 10.0904 Å, 77.86 86.26 66.79°
Closest atoms and distances in Å follow each position.
Space group P-1 (No. 2)
One atom of each set of equivalent atoms:
Ru1 0.2130 0.1320 0.1778  4 N 1.81-1.92
Pb1 0.2423 0.5568 0.3999  1 N 2.37
Pb2 0.2436 0.3319 0.7740  3 N 2.37-2.42
Pb3 0.2529 0.7486 0.9979  4 N 2.43-2.61
Pb4 0.2909 0.9034 0.6090  2 N 2.35-2.49
N1 0.0976 0.7347 0.7750  1 Ru 1.89
N2 0.1598 0.1533 0.9889  1 Ru 1.92
N3 0.3431 0.8141 0.2312  1 Ru 1.86
N4 0.3860 0.2718 0.2233  1 Ru 1.81

(3)
Compound: In5Si3N9
Source: the Materials Project database
Functional: PBE
Structure: optimized geometry

Results
Formation energy from the elements (kJ per mole of atoms): -20.3
Total DFT energy (no corrections) (eV per atom): -6.1991

Cell: 10.7156 10.8668 15.6825 Å, 90.00 90.00 90.00°
Closest atoms and distances in Å follow each position.
Space group Cmce (No. 64)
One atom of each set of equivalent atoms:
In1 0.0000 0.0034 0.1067  4 N 2.24-2.32
In2 0.0000 0.0362 0.3414  6 N 2.20-2.44
In3 0.1990 0.1855 0.8465  3 N 2.11-2.12
In4 0.2031 0.0000 0.5000  6 N 2.39-2.58
Si1 0.0000 0.2283 0.0027  4 N 1.73-1.79
Si2 0.0000 0.2461 0.7173  4 N 1.72-1.75
Si3 0.2500 0.0724 0.2500  4 N 1.75-1.76
N1 0.0000 0.0999 0.7646  1 Si 1.75
N2 0.0000 0.1195 0.4692  1 Si 1.74
N3 0.0000 0.2092 0.1123  2 Si 1.72-1.73
N4 0.1266 0.1341 0.9663  1 Si 1.79
N5 0.1290 0.1803 0.2605  2 Si 1.73-1.76
N6 0.2194 0.0087 0.6555  1 Si 1.75

(4)
Compound: K2SeO4
Source: the Materials Project database
Functional: PBE
Structure: optimized geometry

Results
Formation energy from the elements (kJ per mole of atoms): -174.5
Total DFT energy (no corrections) (eV per atom): -5.0602

Cell: 23.3699 10.6527 6.1466 Å, 90.00 90.00 90.00°
Closest atoms and distances in Å follow each position.
Space group Pna2_1 (No. 33)
One atom of each set of equivalent atoms:
K1 0.0002 0.2059 0.0000  7 O 2.77-2.96
K2 0.0566 0.4233 0.5019  1 O 2.66
K3 0.1099 0.9218 0.0187  2 O 2.65-2.97
K4 0.1665 0.2942 0.0352  7 O 2.77-2.98
K5 0.1669 0.7065 0.5242  7 O 2.74-2.93
K6 0.2233 0.0800 0.5332  4 O 2.67-2.99
Se1 0.0741 0.0814 0.5211  4 O 1.67-1.68
Se2 0.0928 0.5821 0.0035  4 O 1.67-1.69
Se3 0.2407 0.4180 0.5221  4 O 1.67-1.68
O1 0.0033 0.0703 0.5503  1 Se 1.67
O2 0.0605 0.4407 0.0118  1 Se 1.69
O3 0.0679 0.6603 0.7860  1 Se 1.68
O4 0.0760 0.6608 0.2314  1 Se 1.68
O5 0.0907 0.1641 0.2975  1 Se 1.68
O6 0.1019 0.1520 0.7416  1 Se 1.68
O7 0.1036 0.9377 0.5000  1 Se 1.68
O8 0.1635 0.5650 0.9815  1 Se 1.67
O9 0.1704 0.4322 0.4838  1 Se 1.67
O10 0.2291 0.0597 0.0632  1 Se 1.68
O11 0.2299 0.8559 0.7968  1 Se 1.68
O12 0.2449 0.8251 0.2358  1 Se 1.68

(5)
Compound: Cs3Hf2CuTe10
Source: the Materials Project database
Functional: PBE
Structure: optimized geometry

Results
Formation energy from the elements (kJ per mole of atoms): -95.5
Total DFT energy (no corrections) (eV per atom): -4.3597

Cell: 10.2142 11.2682 11.4830 Å, 89.54 89.33 78.12°
Closest atoms and distances in Å follow each position.
Space group P-1 (No. 2)
One atom of each set of equivalent atoms:
Cs1 0.0545 0.2357 0.1100  8 Te 3.93-4.24, 1 Cu 4.40
Cs2 0.1995 0.3750 0.6040  7 Te 3.83-4.21
Cs3 0.3846 0.8911 0.7615  8 Te 3.84-4.28, 1 Cu 3.88
Hf1 0.1922 0.8406 0.3571  7 Te 2.87-3.07
Hf2 0.3924 0.6227 0.1357  2 Cu 2.87-2.89, 7 Te 2.89-3.06
Cu1 0.4212 0.3781 0.0560  4 Te 2.58-2.71, 1 Hf 2.87
Te1 0.0238 0.0909 0.8035  1 Hf 2.87, 1 Te 3.04
Te2 0.0911 0.7550 0.5693  1 Te 2.87, 1 Hf 2.87
Te3 0.1097 0.6425 0.2098  2 Hf 2.97-3.07, 2 Te 3.00-3.04
Te4 0.1682 0.0872 0.4295  1 Hf 2.87, 1 Te 2.87
Te5 0.2855 0.8825 0.1092  1 Te 2.89, 2 Hf 2.92-3.05
Te6 0.3071 0.4112 0.2582  1 Cu 2.58
Te7 0.3435 0.5595 0.8989  2 Cu 2.70-2.71, 1 Hf 2.89
Te8 0.4200 0.6369 0.3902  1 Te 2.86, 2 Hf 2.94-2.95
Te9 0.4283 0.2072 0.9064  1 Cu 2.58
Te10 0.4556 0.8777 0.4319  1 Te 2.86, 1 Hf 2.95

(6)
Compound: SiO2
Source: the Materials Project database
Functional: PBE
Structure: optimized geometry

Results
Formation energy from the elements (kJ per mole of atoms): -314.9
Total DFT energy (no corrections) (eV per atom): -7.9124

Cell: 5.0405 8.8204 8.8024 Å, 90.00 90.00 90.00°
Closest atoms and distances in Å follow each position.
Space group Pnnm (No. 58)
One atom of each set of equivalent atoms:
Si1 0.0639 0.1748 0.1805  4 O 1.62-1.63
O1 0.0000 0.0000 0.2252  2 Si 1.62
O2 0.0164 0.2017 0.0000  2 Si 1.62
O3 0.1291 0.7122 0.2761  2 Si 1.63

(7)
Compound: In6TeO12
Source: the Materials Project database
Functional: PBE
Structure: optimized geometry

Results
Formation energy from the elements (kJ per mole of atoms): -183.7
Total DFT energy (no corrections) (eV per atom): -5.6297

Cell: 9.6045 9.6045 9.1497 Å, 90.00 90.00 120.00°
Closest atoms and distances in Å follow each position.
Space group R-3 (No. 148, hexagonal axes)
One atom of each set of equivalent atoms:
In1 0.0365 0.2515 0.1446  6 O 2.11-2.32
Te1 0.0000 0.0000 0.5000  6 O 1.96
O1 0.0222 0.2210 0.8967  4 In 2.11-2.28
O2 0.0292 0.1852 0.3846  1 Te 1.96

(8)
Compound: Al2Si2O11
Source: the Materials Project database
Functional: PBE
Structure: optimized geometry

Results
Offset from the most stable computed form (meV/atom): 385
Formation energy from the elements (kJ per mole of atoms): -143.5
Total DFT energy (no corrections) (eV per atom): -6.2204

Cell: 4.9022 11.8399 11.5680 Å, 90.00 92.48 90.00°
Closest atoms and distances in Å follow each position.
Space group Cm (No. 8)
One atom of each set of equivalent atoms:
Al1 0.0000 0.2492 0.0000  4 O 1.75-1.79
Si1 0.4355 0.2507 0.3318  4 O 1.69
O1 0.0098 0.0000 0.6693  5 O 3.69-4.01
O2 0.1798 0.1770 0.2635  2 Si 1.69
O3 0.1920 0.3213 0.4013  2 Si 1.69
O4 0.2217 0.0000 0.0834  1 O 1.20
O5 0.2425 0.1739 0.9195  2 Al 1.78-1.79
O6 0.2560 0.3324 0.0682  2 Al 1.75-1.76
O7 0.2780 0.0000 0.9831  1 O 1.20

(9)
Compound: Rb2MgV2Cu4S8
Source: the Materials Project database
Functional: PBE
Structure: optimized geometry

Results
Offset from the most stable computed form (meV/atom): 30
Formation energy from the elements (kJ per mole of atoms): -94.8
Total DFT energy (no corrections) (eV per atom): -4.9353

Cell: 5.5609 7.7765 9.7108 Å, 91.69 104.89 90.58°
Closest atoms and distances in Å follow each position.
Space group P1 (No. 1)
One atom of each set of equivalent atoms:
Rb1 0.0000 0.0000 0.0000  7 S 3.51-3.84
Rb2 0.4242 0.4776 0.7889  4 S 3.30-3.59, 1 Cu 3.55
Mg1 0.0942 0.7976 0.5176  4 S 2.37-2.65
V1 0.3263 0.5254 0.1678  4 S 2.17-2.28
V2 0.5577 0.0277 0.5758  4 S 2.28-2.33
Cu1 0.0760 0.1330 0.5810  3 S 2.18-2.42
Cu2 0.4548 0.2998 0.3837  4 S 2.29-2.41
Cu3 0.4601 0.7738 0.3717  4 S 2.25-2.46
Cu4 0.8281 0.5221 0.1737  4 S 2.30-2.35
S1 0.0069 0.5185 0.9846  1 V 2.17, 1 Cu 2.30
S2 0.1832 0.5321 0.3679  1 V 2.28, 3 Cu 2.35-2.41
S3 0.2188 0.0360 0.3772  1 V 2.33, 3 Cu 2.41-2.46, 1 Mg 2.53
S4 0.3465 0.9784 0.7449  1 Cu 2.27, 1 V 2.29
S5 0.5547 0.2955 0.1685  1 V 2.20, 2 Cu 2.30-2.31
S6 0.5655 0.7542 0.1627  1 V 2.22, 2 Cu 2.25-2.32
S7 0.7272 0.7566 0.5955  1 Cu 2.30, 1 V 2.31, 1 Mg 2.37
S8 0.7573 0.2884 0.5936  2 Cu 2.18-2.29, 1 V 2.28

(10)
Compound: CeZr3Mn8
Source: the Materials Project database
Functional: PBE
Structure: optimized geometry

Results
Formation energy from the elements (kJ per mole of atoms): -7.2
Total DFT energy (no corrections) (eV per atom): -8.8144

Cell: 5.0864 5.0864 8.0812 Å, 90.00 90.00 120.00°
Closest atoms and distances in Å follow each position.
Space group P3m1 (No. 156)
One atom of each set of equivalent atoms:
Ce1 0.0000 0.0000 0.0000  12 Mn 2.93-3.02, 4 Zr 3.08-3.09
Zr1 0.0000 0.0000 0.3812  12 Mn 2.87-2.99, 1 Ce 3.08, 3 Zr 3.11
Zr2 0.6667 0.3333 0.5064  12 Mn 2.87-2.98, 4 Zr 3.03-3.11
Zr3 0.6667 0.3333 0.8808  12 Mn 2.98-2.99, 1 Zr 3.03, 3 Ce 3.09
Mn1 0.0008 0.5004 0.2013  6 Mn 2.47-2.55
Mn2 0.1672 0.3344 0.6862  6 Mn 2.42-2.55
Mn3 0.3333 0.6667 0.4474  6 Mn 2.42-2.47
Mn4 0.3333 0.6667 0.9424  6 Mn 2.54-2.55

(11)
Compound: CaF2
Source: the Materials Project database
Functional: PBE
Structure: optimized geometry

Results
Offset from the most stable computed form (meV/atom): 0
Formation energy from the elements (kJ per mole of atoms): -407.4
Total DFT energy (no corrections) (eV per atom): -5.8591

Cell: 5.5161 5.5161 5.5161 Å, 90.00 90.00 90.00°
Closest atoms and distances in Å follow each position.
Space group Fm-3m (No. 225)
One atom of each set of equivalent atoms:
Ca1 0.0000 0.0000 0.0000  8 F 2.39
F1 0.2500 0.2500 0.2500  4 Ca 2.39

(12)
Compound: Mg2NiN2
Source: the Materials Project database
Functional: PBE
Structure: optimized geometry

Results
Formation energy from the elements (kJ per mole of atoms): -50.9
Total DFT energy (no corrections) (eV per atom): -5.5138

Cell: 10.2463 4.2180 6.4715 Å, 90.00 120.38 90.00°
Closest atoms and distances in Å follow each position.
Space group C2/m (No. 12)
One atom of each set of equivalent atoms:
Mg1 0.0364 0.0000 0.2464  4 N 2.11-2.22
Mg2 0.1768 0.5000 0.0771  4 N 2.11-2.28
Ni1 0.1270 0.5000 0.6227  3 N 1.82-1.92
N1 0.0293 0.5000 0.2967  2 Ni 1.82-1.92
N2 0.1799 0.0000 0.1010  1 Ni 1.88